(1)
{
  "formula": "LiMg10AlH24",
  "functional": "PBE-GGA",
  "state": "relaxed",
  "e_tot_ev_per_fu": -108.9,
  "crystal_system": "monoclinic",
  "e_form_ev_per_atom": -0.282,
  "lattice": [[8.980, 0.000, 0.000], [0.000, 4.477, 0.000], [0.000, 0.052, 8.967]],
  "species": ["Li", "Mg", "Mg", "Mg", "Mg", "Mg", "Mg", "Mg", "Mg", "Mg", "Mg", "Al", "H", "H", "H", "H", "H", "H", "H", "H", "H", "H", "H", "H", "H", "H", "H", "H", "H", "H", "H", "H", "H", "H", "H", "H"],
  "frac_coords": [[0.503, 0.500, 0.000], [0.499, 0.500, 0.500], [0.334, 0.006, 0.246], [0.166, 0.500, 0.500], [0.828, 0.500, 0.000], [0.663, 0.001, 0.242], [0.832, 0.500, 0.500], [0.334, 0.994, 0.754], [0.999, 0.997, 0.748], [0.999, 0.003, 0.252], [0.663, 0.999, 0.758], [0.168, 0.500, 0.000], [0.667, 0.699, 0.600], [0.329, 0.695, 0.599], [0.494, 0.805, 0.851], [0.671, 0.303, 0.901], [0.667, 0.301, 0.400], [0.835, 0.195, 0.654], [0.166, 0.186, 0.656], [0.166, 0.814, 0.344], [0.001, 0.693, 0.598], [0.162, 0.220, 0.142], [0.304, 0.691, 0.093], [0.162, 0.780, 0.858], [0.496, 0.801, 0.347], [0.496, 0.199, 0.653], [0.494, 0.195, 0.149], [0.841, 0.195, 0.149], [0.329, 0.305, 0.401], [0.304, 0.309, 0.907], [0.018, 0.314, 0.908], [0.671, 0.697, 0.099], [0.835, 0.805, 0.346], [0.001, 0.307, 0.402], [0.841, 0.805, 0.851], [0.018, 0.686, 0.092]]
}

***

(2)
{
  "formula": "LiAlH8N4",
  "functional": "PBE-GGA",
  "state": "relaxed",
  "e_tot_ev_per_fu": -68.4,
  "crystal_system": "monoclinic",
  "e_form_ev_per_atom": -0.267,
  "lattice": [[-6.542, 1.698, 3.966], [-3.177, -7.335, -2.101], [1.064, -10.888, 6.416]],
  "species": ["Li", "Li", "Li", "Li", "Al", "Al", "Al", "Al", "H", "H", "H", "H", "H", "H", "H", "H", "H", "H", "H", "H", "H", "H", "H", "H", "H", "H", "H", "H", "H", "H", "H", "H", "H", "H", "H", "H", "H", "H", "H", "H", "N", "N", "N", "N", "N", "N", "N", "N", "N", "N", "N", "N", "N", "N", "N", "N"],
  "frac_coords": [[0.093, 0.133, 0.622], [0.407, 0.133, 0.122], [0.907, 0.867, 0.378], [0.593, 0.867, 0.878], [0.271, 0.163, 0.365], [0.229, 0.163, 0.865], [0.729, 0.837, 0.635], [0.771, 0.837, 0.135], [0.786, 0.616, 0.070], [0.714, 0.616, 0.570], [0.214, 0.384, 0.930], [0.286, 0.384, 0.430], [0.896, 0.816, 0.968], [0.604, 0.816, 0.468], [0.104, 0.184, 0.032], [0.396, 0.184, 0.532], [0.129, 0.615, 0.945], [0.371, 0.615, 0.445], [0.871, 0.385, 0.055], [0.629, 0.385, 0.555], [0.857, 0.391, 0.292], [0.643, 0.391, 0.792], [0.143, 0.609, 0.708], [0.357, 0.609, 0.208], [0.266, 0.594, 0.196], [0.234, 0.594, 0.696], [0.734, 0.406, 0.804], [0.766, 0.406, 0.304], [0.058, 0.686, 0.902], [0.442, 0.686, 0.402], [0.942, 0.314, 0.098], [0.558, 0.314, 0.598], [0.945, 0.197, 0.768], [0.555, 0.197, 0.268], [0.055, 0.803, 0.232], [0.445, 0.803, 0.732], [0.062, 0.393, 0.667], [0.438, 0.393, 0.167], [0.938, 0.607, 0.333], [0.562, 0.607, 0.833], [0.783, 0.770, 0.019], [0.717, 0.770, 0.519], [0.217, 0.230, 0.981], [0.283, 0.230, 0.481], [0.135, 0.938, 0.414], [0.365, 0.938, 0.914], [0.865, 0.062, 0.586], [0.635, 0.062, 0.086], [0.447, 0.101, 0.832], [0.053, 0.101, 0.332], [0.553, 0.899, 0.168], [0.947, 0.899, 0.668], [0.067, 0.239, 0.735], [0.433, 0.239, 0.235], [0.933, 0.761, 0.265], [0.567, 0.761, 0.765]]
}

***

(3)
{
  "formula": "LiAlSi2H2O7",
  "functional": "PBE-GGA",
  "state": "relaxed",
  "piezo_max_c_m2": 0.5,
  "e_above_lowest_polymorph_mev_per_atom": 85,
  "e_tot_ev_per_fu": -88.0,
  "crystal_system": "triclinic",
  "e_form_ev_per_atom": -2.687,
  "lattice": [[-0.305, 5.017, -0.610], [-5.222, 0.748, 5.532], [3.649, 1.479, 7.546]],
  "species": ["Li", "Li", "Al", "Al", "Si", "Si", "Si", "Si", "H", "H", "H", "H", "O", "O", "O", "O", "O", "O", "O", "O", "O", "O", "O", "O", "O", "O"],
  "frac_coords": [[0.684, 0.815, 0.295], [0.164, 0.117, 0.713], [0.162, 0.062, 0.396], [0.667, 0.093, 0.905], [0.177, 0.923, 0.103], [0.098, 0.503, 0.149], [0.642, 0.511, 0.913], [0.663, 0.926, 0.627], [0.653, 0.516, 0.235], [0.531, 0.388, 0.709], [0.119, 0.479, 0.611], [0.218, 0.387, 0.477], [0.310, 0.953, 0.263], [0.863, 0.995, 0.083], [0.234, 0.703, 0.135], [0.410, 0.450, 0.051], [0.144, 0.310, 0.320], [0.856, 0.942, 0.464], [0.808, 0.583, 0.241], [0.801, 0.034, 0.737], [0.332, 0.046, 0.928], [0.657, 0.353, 0.806], [0.935, 0.483, 0.989], [0.619, 0.705, 0.748], [0.366, 0.013, 0.572], [0.251, 0.391, 0.592]]
}

***

(4)
{
  "formula": "Li2Al2Si4HO14",
  "functional": "PBE-GGA",
  "state": "relaxed",
  "e_above_lowest_polymorph_mev_per_atom": 0,
  "e_tot_ev_per_fu": -159.0,
  "crystal_system": "triclinic",
  "e_form_ev_per_atom": -2.735,
  "lattice": [[-0.114, 2.097, 4.545], [6.745, -3.072, 1.647], [6.791, 5.065, -2.048]],
  "species": ["Li", "Li", "Al", "Al", "Si", "Si", "Si", "Si", "H", "O", "O", "O", "O", "O", "O", "O", "O", "O", "O", "O", "O", "O", "O"],
  "frac_coords": [[0.879, 0.187, 0.593], [0.374, 0.904, 0.201], [0.396, 0.135, 0.794], [0.859, 0.109, 0.283], [0.361, 0.977, 0.518], [0.894, 0.954, 0.002], [0.412, 0.558, 0.791], [0.904, 0.536, 0.011], [0.694, 0.537, 0.456], [0.052, 0.079, 0.827], [0.506, 0.083, 0.625], [0.466, 0.381, 0.734], [0.572, 0.994, 0.980], [0.548, 0.992, 0.357], [0.957, 0.721, 0.062], [0.311, 0.748, 0.634], [0.069, 0.076, 0.454], [0.183, 0.486, 0.939], [0.006, 0.001, 0.157], [0.801, 0.354, 0.172], [0.682, 0.614, 0.863], [0.828, 0.465, 0.540], [0.294, 0.613, 0.259]]
}

***

(5)
{
  "formula": "LiAlSi2H2O7",
  "functional": "PBE-GGA",
  "state": "relaxed",
  "piezo_max_c_m2": 0.3,
  "e_above_lowest_polymorph_mev_per_atom": 0,
  "e_tot_ev_per_fu": -89.1,
  "crystal_system": "triclinic",
  "e_form_ev_per_atom": -2.772,
  "lattice": [[-3.606, 3.211, -1.268], [-3.083, -0.698, 7.027], [5.916, 6.338, -0.717]],
  "species": ["Li", "Li", "Al", "Al", "Si", "Si", "Si", "Si", "H", "H", "H", "H", "O", "O", "O", "O", "O", "O", "O", "O", "O", "O", "O", "O", "O", "O"],
  "frac_coords": [[0.869, 0.125, 0.301], [0.367, 0.854, 0.688], [0.874, 0.063, 0.620], [0.367, 0.093, 0.100], [0.302, 0.514, 0.109], [0.375, 0.937, 0.381], [0.803, 0.497, 0.897], [0.867, 0.903, 0.894], [0.675, 0.463, 0.486], [0.796, 0.457, 0.320], [0.174, 0.514, 0.516], [0.299, 0.529, 0.684], [0.330, 0.567, 0.591], [0.186, 0.958, 0.913], [0.834, 0.675, 0.842], [0.740, 0.941, 0.737], [0.891, 0.307, 0.740], [0.197, 0.971, 0.548], [0.243, 0.042, 0.268], [0.709, 0.027, 0.070], [0.334, 0.336, 0.158], [0.987, 0.537, 0.065], [0.395, 0.706, 0.270], [0.678, 0.019, 0.438], [0.486, 0.491, 0.945], [0.831, 0.414, 0.409]]
}

***

(6)
{
  "formula": "Li2Al2Si4HO14",
  "functional": "PBE-GGA",
  "state": "relaxed",
  "e_above_lowest_polymorph_mev_per_atom": 4,
  "e_tot_ev_per_fu": -158.9,
  "crystal_system": "triclinic",
  "e_form_ev_per_atom": -2.731,
  "lattice": [[-3.516, 2.392, 2.632], [-5.496, -3.406, -4.187], [-2.791, -7.577, 3.233]],
  "species": ["Li", "Li", "Al", "Al", "Si", "Si", "Si", "Si", "H", "O", "O", "O", "O", "O", "O", "O", "O", "O", "O", "O", "O", "O", "O"],
  "frac_coords": [[0.866, 0.160, 0.609], [0.364, 0.887, 0.217], [0.370, 0.138, 0.801], [0.854, 0.108, 0.284], [0.354, 0.981, 0.522], [0.869, 0.948, 0.010], [0.427, 0.558, 0.792], [0.924, 0.539, 0.010], [0.596, 0.545, 0.300], [0.028, 0.074, 0.834], [0.490, 0.086, 0.632], [0.419, 0.383, 0.735], [0.549, 0.000, 0.987], [0.533, 0.012, 0.355], [0.916, 0.720, 0.063], [0.330, 0.752, 0.637], [0.052, 0.064, 0.464], [0.230, 0.514, 0.955], [0.992, 0.990, 0.165], [0.828, 0.355, 0.172], [0.731, 0.585, 0.846], [0.905, 0.454, 0.521], [0.427, 0.600, 0.320]]
}

***

(7)
{
  "formula": "LiAlSi2H2O7",
  "functional": "PBE-GGA",
  "state": "relaxed",
  "e_above_lowest_polymorph_mev_per_atom": 533,
  "e_tot_ev_per_fu": -82.2,
  "crystal_system": "triclinic",
  "e_form_ev_per_atom": -2.239,
  "lattice": [[6.777, 1.381, -0.028], [1.347, 6.052, 3.162], [0.060, 0.052, 7.658]],
  "species": ["Li", "Li", "Al", "Al", "Si", "Si", "Si", "Si", "H", "H", "H", "H", "O", "O", "O", "O", "O", "O", "O", "O", "O", "O", "O", "O", "O", "O"],
  "frac_coords": [[0.163, 0.988, 0.616], [0.572, 0.899, 0.640], [0.958, 0.576, 0.753], [0.452, 0.016, 0.018], [0.524, 0.470, 0.877], [0.823, 0.989, 0.883], [0.291, 0.298, 0.227], [0.948, 0.598, 0.325], [0.407, 0.865, 0.231], [0.293, 0.623, 0.586], [0.999, 0.052, 0.903], [0.753, 0.400, 0.324], [0.717, 0.533, 0.778], [0.879, 0.371, 0.406], [0.167, 0.265, 0.904], [0.967, 0.663, 0.496], [0.862, 0.864, 0.745], [0.585, 0.211, 0.822], [0.423, 0.893, 0.856], [0.171, 0.540, 0.242], [0.291, 0.635, 0.708], [0.465, 0.641, 0.998], [0.490, 0.263, 0.104], [0.343, 0.077, 0.440], [0.090, 0.360, 0.046], [0.778, 0.821, 0.112]]
}

***

(8)
{
  "formula": "LiAlSi2H2O7",
  "functional": "PBE-GGA",
  "state": "relaxed",
  "e_above_lowest_polymorph_mev_per_atom": 580,
  "e_tot_ev_per_fu": -81.6,
  "crystal_system": "triclinic",
  "e_form_ev_per_atom": -2.192,
  "lattice": [[6.509, 0.000, 0.000], [1.891, 6.486, 0.000], [1.669, 2.994, 6.445]],
  "species": ["Li", "Li", "Al", "Al", "Si", "Si", "Si", "Si", "H", "H", "H", "H", "O", "O", "O", "O", "O", "O", "O", "O", "O", "O", "O", "O", "O", "O"],
  "frac_coords": [[0.930, 0.380, 0.573], [0.432, 0.489, 0.623], [0.006, 0.679, 0.738], [0.555, 0.963, 0.032], [0.456, 0.667, 0.880], [0.177, 0.126, 0.867], [0.731, 0.484, 0.232], [0.048, 0.083, 0.302], [0.609, 0.903, 0.260], [0.684, 0.772, 0.574], [0.999, 0.047, 0.849], [0.300, 0.155, 0.418], [0.263, 0.716, 0.748], [0.147, 0.210, 0.400], [0.838, 0.816, 0.914], [0.979, 0.854, 0.475], [0.119, 0.401, 0.733], [0.416, 0.983, 0.805], [0.536, 0.267, 0.882], [0.850, 0.268, 0.174], [0.693, 0.659, 0.719], [0.477, 0.376, 0.026], [0.515, 0.651, 0.111], [0.685, 0.412, 0.472], [0.920, 0.656, 0.117], [0.220, 0.035, 0.113]]
}

***

What MP2020-corrected energy values result from the calculations? In sequence: -3.145; -4.992; -7.143; -7.330; -7.227; -7.325; -6.695; -6.648 eV/atom.